Ba2Sr2Mn3O10 (PBE with a Hubbard U, relaxed); magnetic moment = 9.004 μB/f.u.; DFT formation energy = -2.5659 eV per atom; ρ = 5.41 g/cm3
1.0
2.823 -6.519 0.000
2.823 6.519 0.000
0.000 0.000 12.918
Ba Sr Mn O
4 4 6 20
direct
0.239 0.761 0.888
0.261 0.739 0.388
0.739 0.261 0.612
0.761 0.239 0.112
0.030 0.970 0.644
0.470 0.530 0.144
0.530 0.470 0.856
0.970 0.030 0.356
0.000 0.000 0.000
0.128 0.872 0.152
0.372 0.628 0.652
0.500 0.500 0.500
0.628 0.372 0.348
0.872 0.128 0.848
0.033 0.967 0.853
0.125 0.331 0.962
0.137 0.363 0.750
0.169 0.375 0.538
0.230 0.770 0.648
0.270 0.730 0.148
0.331 0.125 0.038
0.363 0.137 0.250
0.375 0.169 0.462
0.467 0.533 0.353
0.533 0.467 0.647
0.625 0.831 0.538
0.637 0.863 0.750
0.669 0.875 0.962
0.730 0.270 0.852
0.770 0.230 0.352
0.831 0.625 0.462
0.863 0.637 0.250
0.875 0.669 0.038
0.967 0.033 0.147

=====

SmBiW2O9 (PBE with a Hubbard U, relaxed); magnetic moment = 0.000 μB/f.u.; DFT formation energy = -2.4743 eV per atom; ρ = 7.58 g/cm3
1.0
33.342 0.000 0.000
0.000 5.813 0.000
0.000 0.000 3.937
Sm Bi W O
4 4 8 36
direct
0.166 0.250 0.239
0.334 0.750 0.739
0.666 0.250 0.261
0.834 0.750 0.761
0.026 0.250 0.783
0.474 0.750 0.283
0.526 0.250 0.717
0.974 0.750 0.217
0.078 0.750 0.266
0.207 0.750 0.771
0.293 0.250 0.271
0.422 0.250 0.766
0.578 0.750 0.234
0.707 0.750 0.729
0.793 0.250 0.229
0.922 0.250 0.734
0.029 0.521 0.243
0.029 0.979 0.243
0.072 0.750 0.748
0.112 0.504 0.242
0.112 0.996 0.242
0.179 0.026 0.738
0.179 0.474 0.738
0.203 0.750 0.248
0.239 0.250 0.236
0.261 0.750 0.736
0.297 0.250 0.748
0.321 0.526 0.238
0.321 0.974 0.238
0.388 0.004 0.742
0.388 0.496 0.742
0.428 0.250 0.248
0.471 0.021 0.743
0.471 0.479 0.743
0.529 0.521 0.257
0.529 0.979 0.257
0.572 0.750 0.752
0.612 0.504 0.258
0.612 0.996 0.258
0.679 0.026 0.762
0.679 0.474 0.762
0.703 0.750 0.252
0.739 0.250 0.264
0.761 0.750 0.764
0.797 0.250 0.752
0.821 0.526 0.262
0.821 0.974 0.262
0.888 0.004 0.758
0.888 0.496 0.758
0.928 0.250 0.252
0.971 0.021 0.757
0.971 0.479 0.757

=====

V3CrO8 (PBE with a Hubbard U, relaxed); ΔE to the lowest computed polymorph = 0.0 meV/atom; magnetic moment = 5.000 μB/f.u.; DFT formation energy = -2.3795 eV per atom; ρ = 3.83 g/cm3
1.0
6.093 -1.916 0.000
6.093 1.916 0.000
-1.915 0.000 6.182
V Cr O
3 1 8
direct
0.000 0.000 0.000
0.104 0.104 0.587
0.800 0.800 0.576
0.695 0.695 0.986
0.043 0.043 0.312
0.158 0.158 0.940
0.267 0.267 0.605
0.536 0.536 0.006
0.645 0.645 0.652
0.762 0.762 0.305
0.850 0.850 0.942
0.955 0.955 0.662

=====

Zn5Fe3P6O28 (PBE with a Hubbard U, relaxed); magnetic moment = 22.000 μB/f.u.; DFT formation energy = -1.9667 eV per atom; ρ = 3.52 g/cm3
1.0
6.350 0.000 0.000
2.389 9.022 0.000
1.865 2.815 9.291
Zn Fe P O
5 3 6 28
direct
0.000 0.000 0.000
0.031 0.344 0.015
0.273 0.133 0.321
0.931 0.659 0.583
0.968 0.003 0.603
0.437 0.748 0.966
0.529 0.259 0.637
0.688 0.883 0.284
0.230 0.776 0.283
0.455 0.097 0.991
0.509 0.910 0.613
0.738 0.223 0.316
0.981 0.299 0.717
0.985 0.707 0.884
0.012 0.887 0.220
0.097 0.807 0.935
0.123 0.538 0.917
0.168 0.667 0.430
0.213 0.296 0.636
0.239 0.352 0.342
0.290 0.181 0.095
0.294 0.995 0.545
0.348 0.975 0.969
0.359 0.687 0.176
0.370 0.885 0.298
0.459 0.517 0.977
0.472 0.786 0.755
0.499 0.217 0.848
0.517 0.491 0.605
0.581 0.312 0.418
0.613 0.107 0.299
0.619 0.031 0.638
0.671 0.008 0.061
0.677 0.829 0.507
0.754 0.707 0.964
0.775 0.663 0.299
0.799 0.335 0.171
0.847 0.467 0.693
0.867 0.204 0.661
0.950 0.125 0.388
0.984 0.226 0.884
0.986 0.774 0.716

=====

DFT formation energy of number 1 (Ba2Sr2Mn3O10)?
-2.5659 eV per atom